A relaxed structure of La4Al6O15. Source: Materials Project, functional PBE-GGA.

Geometry as POSCAR:
```
La4Al6O15
1.0
6.4839 -2.5223 0.0000
6.4839 2.5223 0.0000
-1.3738 0.0000 21.1483
La Al O
8 12 30
Direct
0.1315 0.1564 0.8529 La
0.1350 0.1350 0.0499 La
0.2426 0.4805 0.4509 La
0.2657 0.4485 0.6478 La
0.5195 0.7574 0.5491 La
0.5515 0.7343 0.3522 La
0.8436 0.8685 0.1471 La
0.8650 0.8650 0.9501 La
0.0008 0.1575 0.4450 Al
0.1743 0.1488 0.2255 Al
0.2144 0.4603 0.2754 Al
0.3860 0.4575 0.0547 Al
0.4081 0.4270 0.8355 Al
0.5397 0.7856 0.7246 Al
0.5425 0.6140 0.9453 Al
0.5730 0.5919 0.1645 Al
0.8140 0.0168 0.3351 Al
0.8425 0.9992 0.5550 Al
0.8512 0.8257 0.7745 Al
0.9832 0.1860 0.6649 Al
0.0009 0.9382 0.6301 O
0.0618 0.9991 0.3699 O
0.0692 0.9308 0.5000 O
0.0997 0.3124 0.3032 O
0.1103 0.4923 0.0420 O
0.1701 0.0683 0.7385 O
0.1708 0.1919 0.6133 O
0.2214 0.5431 0.7618 O
0.2268 0.4170 0.8883 O
0.2764 0.1229 0.4595 O
0.2892 0.2985 0.1974 O
0.3145 0.6855 0.0000 O
0.3264 0.6155 0.1297 O
0.3845 0.6736 0.8703 O
0.4569 0.7786 0.2382 O
0.4729 0.3744 0.3285 O
0.5019 0.3527 0.5524 O
0.5077 0.8897 0.9580 O
0.5830 0.7732 0.1117 O
0.6256 0.5271 0.6715 O
0.6473 0.4981 0.4476 O
0.6876 0.9003 0.6968 O
0.7015 0.7108 0.8026 O
0.7359 0.1143 0.0522 O
0.7648 0.0842 0.8280 O
0.8081 0.8292 0.3867 O
0.8771 0.7236 0.5405 O
0.8857 0.2641 0.9478 O
0.9158 0.2352 0.1720 O
0.9317 0.8299 0.2615 O
```

Energy relative to the elements: -3.59 eV per atom
Magnetization: 0.0 μB per formula unit
Distance to the lowest polymorph of the same formula: 2.4 meV per atom
Density: 4.597 Mg/m³